The following is a GGA-PBE calculation of crystalline Sr2B5BrO9 at its relaxed geometry, from the Materials Project.

Computed properties:
magnetic moment: 0.0 μB per formula unit
ΔH_f (0 K): -3.001 eV/atom
energy with MP2020 corrections: -7.881 eV per atom

Cell: 11.610 11.704 6.532 Å, 90.00 90.00 90.00°
Space group Pnn2 (No. 34)
Unique sites:
Sr 0.039 0.250 0.000 [4 per cell]
Sr 0.242 0.032 0.665 [4 per cell]
B 0.015 0.735 0.538 [4 per cell]
B 0.181 0.776 0.310 [4 per cell]
B 0.209 0.305 0.483 [4 per cell]
B 0.218 0.695 0.665 [4 per cell]
B 0.250 0.472 0.702 [4 per cell]
Br 0.000 0.000 0.850 [2 per cell]
Br 0.000 0.500 0.086 [2 per cell]
O 0.054 0.765 0.348 [4 per cell]
O 0.091 0.712 0.695 [4 per cell]
O 0.100 0.266 0.590 [4 per cell]
O 0.196 0.748 0.094 [4 per cell]
O 0.213 0.286 0.263 [4 per cell]
O 0.217 0.433 0.512 [4 per cell]
O 0.217 0.896 0.355 [4 per cell]
O 0.245 0.695 0.443 [4 per cell]
O 0.247 0.085 0.261 [4 per cell]

The following is a GGA-PBE calculation of crystalline Zn3B7BrO13 at its relaxed geometry, from the Materials Project.

Computed properties:
magnetic moment: 0.0 μB per formula unit
ΔH_f (0 K): -1.556 eV/atom
energy with MP2020 corrections: -6.410 eV per atom

Cell: 9.452 9.926 17.851 Å, 90.00 90.00 90.00°
Space group Pca2_1 (No. 29)
Unique sites:
Zn 0.029 0.022 0.000 [4 per cell]
Zn 0.068 0.511 0.543 [4 per cell]
Zn 0.188 0.421 0.243 [4 per cell]
B 0.024 0.057 0.730 [4 per cell]
B 0.028 0.685 0.260 [4 per cell]
B 0.034 0.401 0.680 [4 per cell]
B 0.074 0.512 0.364 [4 per cell]
B 0.165 0.786 0.508 [4 per cell]
B 0.199 0.106 0.051 [4 per cell]
B 0.228 0.027 0.185 [4 per cell]
Br 0.244 0.259 0.489 [4 per cell]
O 0.004 0.178 0.761 [4 per cell]
O 0.046 0.564 0.120 [4 per cell]
O 0.057 0.836 0.930 [4 per cell]
O 0.062 0.852 0.861 [4 per cell]
O 0.063 0.520 0.438 [4 per cell]
O 0.078 0.394 0.323 [4 per cell]
O 0.087 0.014 0.199 [4 per cell]
O 0.087 0.638 0.324 [4 per cell]
O 0.147 0.896 0.471 [4 per cell]
O 0.161 0.001 0.731 [4 per cell]
O 0.177 0.425 0.673 [4 per cell]
O 0.179 0.687 0.551 [4 per cell]
O 0.233 0.083 0.615 [4 per cell]

The following is a GGA-PBE calculation of crystalline Zn3B7BrO13 at its relaxed geometry, from the Materials Project.

Computed properties:
magnetic moment: 0.0 μB per formula unit
ΔH_f (0 K): -2.520 eV/atom
energy with MP2020 corrections: -7.374 eV per atom

Cell: 8.657 8.665 12.251 Å, 90.00 90.00 90.00°
Space group Pca2_1 (No. 29)
Unique sites:
Zn 0.018 0.031 0.000 [4 per cell]
Zn 0.018 0.469 0.004 [4 per cell]
Zn 0.243 0.250 0.723 [4 per cell]
B 0.000 0.003 0.249 [4 per cell]
B 0.001 0.498 0.250 [4 per cell]
B 0.045 0.749 0.850 [4 per cell]
B 0.092 0.750 0.322 [4 per cell]
B 0.245 0.746 0.996 [4 per cell]
B 0.246 0.598 0.169 [4 per cell]
B 0.246 0.902 0.169 [4 per cell]
Br 0.228 0.248 0.011 [4 per cell]
O 0.035 0.338 0.771 [4 per cell]
O 0.037 0.590 0.853 [4 per cell]
O 0.041 0.169 0.274 [4 per cell]
O 0.048 0.909 0.343 [4 per cell]
O 0.088 0.958 0.151 [4 per cell]
O 0.090 0.558 0.656 [4 per cell]
O 0.120 0.827 0.933 [4 per cell]
O 0.139 0.676 0.424 [4 per cell]
O 0.165 0.018 0.728 [4 per cell]
O 0.165 0.476 0.228 [4 per cell]
O 0.175 0.625 0.063 [4 per cell]
O 0.179 0.863 0.566 [4 per cell]
O 0.230 0.751 0.238 [4 per cell]

The following is a GGA-PBE calculation of crystalline BPBr6 at its relaxed geometry, from the Materials Project.

Computed properties:
ΔH_f (0 K): -0.872 eV/atom
energy with MP2020 corrections: -3.612 eV per atom

Cell: 13.343 11.935 7.609 Å, 90.00 90.00 90.00°
Space group Pnma (No. 62)
Unique sites:
B 0.144 0.250 0.063 [4 per cell]
P 0.103 0.250 0.804 [4 per cell]
Br 0.012 0.103 0.734 [8 per cell]
Br 0.013 0.250 0.188 [4 per cell]
Br 0.223 0.110 0.092 [8 per cell]
Br 0.230 0.250 0.621 [4 per cell]

The following is a GGA-PBE calculation of crystalline BP4S3Br3 at its relaxed geometry, from the Materials Project.

Computed properties:
magnetic moment: 0.0 μB per formula unit
ΔH_f (0 K): -0.574 eV/atom
energy with MP2020 corrections: -4.724 eV per atom

Cell: 6.733 11.133 9.044 Å, 90.00 109.44 90.00°
Space group P2_1/m (No. 11)
Unique sites:
B 0.178 0.250 0.279 [2 per cell]
P 0.138 0.250 0.829 [2 per cell]
P 0.247 0.250 0.514 [2 per cell]
P 0.443 0.148 0.860 [4 per cell]
S 0.018 0.750 0.415 [2 per cell]
S 0.422 0.102 0.630 [4 per cell]
Br 0.014 0.099 0.202 [4 per cell]
Br 0.458 0.250 0.241 [2 per cell]

The following is a GGA-PBE calculation of crystalline BPd2Br at its relaxed geometry, from the Materials Project.

Computed properties:
magnetic moment: 0.0 μB per formula unit
ΔH_f (0 K): 0.863 eV/atom
energy with MP2020 corrections: -3.806 eV per atom

Cell: 6.319 6.319 6.319 Å, 90.00 90.00 90.00°
Space group F-43m (No. 216)
Unique sites:
B 0.000 0.000 0.000 [4 per cell]
Pd 0.000 0.000 0.500 [4 per cell]
Pd 0.250 0.250 0.750 [4 per cell]
Br 0.250 0.250 0.250 [4 per cell]

The following is a GGA-PBE calculation of crystalline Pr3BBr3 at its relaxed geometry, from the Materials Project.

Computed properties:
ΔH_f (0 K): -1.487 eV/atom
energy with MP2020 corrections: -5.192 eV per atom

Cell: 11.808 11.808 11.808 Å, 90.00 90.00 90.00°
Space group I4_132 (No. 214)
Unique sites:
Pr 0.107 0.357 0.125 [24 per cell]
B 0.125 0.125 0.125 [8 per cell]
Br 0.117 0.133 0.625 [24 per cell]

The following is a GGA-PBE calculation of crystalline Rb8Zr6BBr20 at its relaxed geometry, from the Materials Project.

Computed properties:
magnetic moment: 0.9 μB per formula unit
ΔH_f (0 K): -1.888 eV/atom
energy with MP2020 corrections: -4.703 eV per atom

Cell: 17.088 17.088 17.088 Å, 90.00 90.00 90.00°
Space group Fm-3m (No. 225)
Unique sites:
Rb 0.139 0.139 0.139 [32 per cell]
Zr 0.000 0.000 0.364 [24 per cell]
B 0.000 0.000 0.500 [4 per cell]
Br 0.000 0.000 0.191 [24 per cell]
Br 0.000 0.159 0.341 [48 per cell]
Br 0.250 0.250 0.250 [8 per cell]